# MgMn6O10F2, optimized geometry, DFT PBE+U
data_MgMn6O10F2
_chemical_formula_sum 'Mg1 Mn6 O10 F2'
_cell_length_a 5.581
_cell_length_b 5.921
_cell_length_c 7.634
_cell_angle_alpha 106.86
_cell_angle_beta 96.64
_cell_angle_gamma 113.36
_space_group_name_H-M_alt 'P 1'
_space_group_IT_number 1
loop_
_space_group_symop_operation_xyz
'x,y,z'
loop_
_atom_site_label
_atom_site_fract_x
_atom_site_fract_y
_atom_site_fract_z
Mg1 0.000 0.000 0.000
Mn1 0.273 0.535 0.361
Mn2 0.372 0.895 0.755
Mn3 0.615 0.001 0.188
Mn4 0.642 0.458 0.640
Mn5 0.951 0.007 0.501
Mn6 0.965 0.480 0.987
O1 0.017 0.685 0.825
O2 0.155 0.820 0.521
O3 0.256 0.329 0.524
O4 0.311 0.697 0.174
O5 0.587 0.838 0.925
O6 0.605 0.274 0.818
O7 0.635 0.729 0.535
O8 0.721 0.172 0.455
O9 0.857 0.862 0.233
O10 0.933 0.296 0.166
F1 0.053 0.167 0.801
F2 0.385 0.170 0.141
# corrected total energy (MP2020 scheme)	-7.892	eV/atom
# formation energy	-2.109	eV/atom
# raw total energy	-6.95	eV per atom
# relative energy among the computed polymorphs	22	meV/atom
# total magnetization	22.0	Bohr magnetons per cell

***

# Co2As2O7, optimized geometry, DFT PBE+U
data_Co2As2O7
_chemical_formula_sum 'Co2 As2 O7'
_cell_length_a 4.906
_cell_length_b 5.348
_cell_length_c 5.463
_cell_angle_alpha 107.04
_cell_angle_beta 95.91
_cell_angle_gamma 97.26
_space_group_name_H-M_alt 'P 1'
_space_group_IT_number 1
loop_
_space_group_symop_operation_xyz
'x,y,z'
loop_
_atom_site_label
_atom_site_fract_x
_atom_site_fract_y
_atom_site_fract_z
Co1 0.000 0.000 0.000
Co2 0.011 0.372 0.613
As1 0.401 0.928 0.547
As2 0.610 0.438 0.059
O1 0.210 0.093 0.379
O2 0.213 0.747 0.706
O3 0.280 0.271 0.899
O4 0.508 0.686 0.304
O5 0.727 0.102 0.713
O6 0.800 0.622 0.903
O7 0.801 0.277 0.232
# corrected total energy (MP2020 scheme)	-6.843	eV/atom
# formation energy	-1.555	eV/atom
# raw total energy	-6.11	eV per atom
# relative energy among the computed polymorphs	16	meV/atom
# total magnetization	6.0	Bohr magnetons per cell

***

# V2Pb4Se6O21, optimized geometry, DFT PBE+U
data_V2Pb4Se6O21
_chemical_formula_sum 'V16 Pb32 Se48 O168'
_cell_length_a 12.466
_cell_length_b 25.666
_cell_length_c 13.316
_cell_angle_alpha 90.00
_cell_angle_beta 90.00
_cell_angle_gamma 90.00
_space_group_name_H-M_alt 'F d d 2'
_space_group_IT_number 43
_space_group_name_Hall 'F 2 -2d'
loop_
_atom_site_label
_atom_site_fract_x
_atom_site_fract_y
_atom_site_fract_z
V1 0.107 0.133 0.000
Pb1 0.104 0.209 0.745
Pb2 0.119 0.128 0.463
Se1 0.097 0.061 0.703
Se2 0.108 0.449 0.467
Se3 0.119 0.029 0.254
O1 0.000 0.000 0.190
O2 0.017 0.427 0.276
O3 0.030 0.404 0.536
O4 0.044 0.210 0.302
O5 0.049 0.057 0.582
O6 0.059 0.168 0.905
O7 0.060 0.056 0.357
O8 0.070 0.156 0.139
O9 0.070 0.225 0.549
O10 0.075 0.331 0.206
O11 0.086 0.370 0.947
# corrected total energy (MP2020 scheme)	-6.388	eV/atom
# formation energy	-1.603	eV/atom
# raw total energy	-5.85	eV per atom
# total magnetization	0.0	Bohr magnetons per cell

***

# MgFe2O2F2, optimized geometry, DFT PBE+U
data_MgFe2O2F2
_chemical_formula_sum 'Mg1 Fe2 O2 F2'
_cell_length_a 5.417
_cell_length_b 3.012
_cell_length_c 5.683
_cell_angle_alpha 90.00
_cell_angle_beta 112.20
_cell_angle_gamma 90.00
_space_group_name_H-M_alt 'P 1 2/m 1'
_space_group_IT_number 10
loop_
_space_group_symop_operation_xyz
'x,y,z'
'-x,-y,-z'
'-x,y,-z'
'x,-y,z'
loop_
_atom_site_label
_atom_site_fract_x
_atom_site_fract_y
_atom_site_fract_z
Mg1 0.000 0.000 0.000
Fe1 0.000 0.000 0.500
Fe2 0.500 0.500 0.000
O1 0.088 0.500 0.775
F1 0.390 0.000 0.208
# corrected total energy (MP2020 scheme)	-6.915	eV/atom
# formation energy	-2.306	eV/atom
# raw total energy	-5.94	eV per atom
# relative energy among the computed polymorphs	46	meV/atom
# total magnetization	8.0	Bohr magnetons per cell